An optimized crystal structure of K2CeBr5, computed with PBE.

Computed properties:
total energy after the MP2020 corrections: -33.803 eV per formula unit
formation enthalpy at 0 K: -1685 kJ/mol of formula units
density: 3757 kg/m³
uncorrected energy: -0.1430 Ha/atom

Structure (POSCAR):
```
K2CeBr5
1.0
13.601 0.000 0.000
0.000 9.347 0.000
0.000 0.000 8.593
K Ce Br
8 4 20
Direct
0.171 0.006 0.050
0.171 0.494 0.050
0.329 0.506 0.550
0.329 0.994 0.550
0.671 0.006 0.450
0.671 0.494 0.450
0.829 0.506 0.950
0.829 0.994 0.950
0.006 0.250 0.577
0.494 0.750 0.077
0.506 0.250 0.923
0.994 0.750 0.423
0.007 0.250 0.926
0.078 0.544 0.665
0.078 0.956 0.665
0.181 0.250 0.373
0.206 0.750 0.335
0.294 0.250 0.835
0.319 0.750 0.873
0.422 0.044 0.165
0.422 0.456 0.165
0.493 0.750 0.426
0.507 0.250 0.574
0.578 0.544 0.835
0.578 0.956 0.835
0.681 0.250 0.127
0.706 0.750 0.165
0.794 0.250 0.665
0.819 0.750 0.627
0.922 0.044 0.335
0.922 0.456 0.335
0.993 0.750 0.074
```

=====

An optimized crystal structure of Ba6Bi6O17, computed with PBE.

Computed properties:
total energy after the MP2020 corrections: -182.760 eV per formula unit
formation enthalpy at 0 K: -6155 kJ/mol of formula units
density: 7443 kg/m³
uncorrected energy: -0.2168 Ha/atom

Structure (POSCAR):
```
Ba6Bi6O17
1.0
-3.169 4.348 9.513
3.169 -4.348 9.513
3.169 4.348 -9.513
Ba Bi O
6 6 17
Direct
0.000 0.000 0.000
0.168 0.668 0.500
0.322 0.322 0.000
0.500 0.000 0.500
0.678 0.678 0.000
0.832 0.332 0.500
0.086 0.834 0.251
0.252 0.500 0.752
0.417 0.166 0.251
0.583 0.834 0.749
0.748 0.500 0.248
0.914 0.166 0.749
0.000 0.000 0.500
0.000 0.500 0.000
0.000 0.500 0.500
0.168 0.168 0.000
0.173 0.164 0.504
0.173 0.670 0.009
0.332 0.832 0.500
0.339 0.330 0.504
0.339 0.836 0.009
0.500 0.000 0.000
0.500 0.500 0.500
0.661 0.164 0.991
0.661 0.670 0.496
0.668 0.168 0.500
0.827 0.330 0.991
0.827 0.836 0.496
0.832 0.832 0.000
```

=====

An optimized crystal structure of UIrO3, computed with PBE.

Computed properties:
total energy after the MP2020 corrections: -42.686 eV per formula unit
formation enthalpy at 0 K: -744 kJ/mol of formula units
density: 12322 kg/m³
uncorrected energy: -0.2986 Ha/atom

Structure (POSCAR):
```
UIrO3
1.0
4.009 0.000 0.000
0.000 4.009 0.000
0.000 0.000 4.009
U Ir O
1 1 3
Direct
0.000 0.000 0.000
0.500 0.500 0.500
0.000 0.500 0.500
0.500 0.000 0.500
0.500 0.500 0.000
```

=====

An optimized crystal structure of Sb2P3H3O9, computed with PBE.

Computed properties:
total energy after the MP2020 corrections: -111.064 eV per formula unit
formation enthalpy at 0 K: -3074 kJ/mol of formula units
density: 3205 kg/m³
uncorrected energy: -0.2267 Ha/atom

Structure (POSCAR):
```
Sb2P3H3O9
1.0
7.375 0.000 0.000
3.231 7.896 0.000
1.676 3.335 8.603
Sb P H O
4 6 6 18
Direct
0.000 0.012 0.265
0.000 0.988 0.735
0.321 0.345 0.416
0.679 0.655 0.584
0.227 0.717 0.065
0.237 0.609 0.639
0.458 0.000 0.262
0.542 0.000 0.738
0.763 0.391 0.361
0.773 0.283 0.935
0.162 0.509 0.780
0.426 0.654 0.021
0.472 0.997 0.888
0.528 0.003 0.112
0.574 0.346 0.979
0.838 0.491 0.220
0.112 0.759 0.921
0.124 0.814 0.598
0.177 0.563 0.201
0.191 0.890 0.095
0.204 0.557 0.508
0.229 0.093 0.253
0.456 0.555 0.674
0.461 0.885 0.695
0.483 0.201 0.632
0.517 0.799 0.368
0.539 0.115 0.305
0.544 0.445 0.326
0.771 0.907 0.747
0.796 0.443 0.492
0.809 0.110 0.905
0.823 0.437 0.799
0.876 0.186 0.402
0.888 0.241 0.079
```

=====

An optimized crystal structure of Cr5B2P, computed with PBE.

Computed properties:
formation enthalpy at 0 K: -366 kJ/mol of formula units
density: 6543 kg/m³
uncorrected energy: -0.3254 Ha/atom

Structure (POSCAR):
```
Cr5B2P
1.0
-2.774 2.774 5.156
2.774 -2.774 5.156
2.774 2.774 -5.156
Cr B P
10 4 2
Direct
0.000 0.000 0.000
0.030 0.530 0.837
0.192 0.030 0.500
0.308 0.808 0.837
0.470 0.308 0.500
0.500 0.500 0.000
0.530 0.692 0.500
0.692 0.192 0.163
0.808 0.970 0.500
0.970 0.470 0.163
0.118 0.382 0.500
0.382 0.882 0.264
0.618 0.118 0.736
0.882 0.618 0.500
0.250 0.250 0.000
0.750 0.750 0.000
```